# MnVN2, relaxed, DFT PBE
data_MnVN2
_chemical_formula_sum 'Mn4 V4 N8'
_cell_length_a 5.264
_cell_length_b 6.046
_cell_length_c 5.359
_cell_angle_alpha 90.00
_cell_angle_beta 90.00
_cell_angle_gamma 90.00
_symmetry_space_group_name_H-M 'P n a 21'
_symmetry_Int_Tables_number 33
_symmetry_space_group_name_Hall 'P 2c -2n'
loop_
_atom_site_label
_atom_site_fract_x
_atom_site_fract_y
_atom_site_fract_z
_atom_site_occupancy
Mn1 0.091 0.128 0.000 1
V1 0.082 0.627 0.002 1
N1 0.079 0.622 0.351 1
N2 0.085 0.124 0.357 1
# energy relative to the elements	-2.8	eV/f.u.